No. 1
A relaxed TbInAg2 crystal, computed with meta-GGA r2SCAN.

```
16
Lattice="6.956 0.000 0.000 0.000 6.956 0.000 0.000 0.000 6.956" Properties=species:S:1:pos:R:3 pbc="T T T"
Tb 0.000 0.000 0.000
Tb 0.000 3.478 3.478
Tb 3.478 0.000 3.478
Tb 3.478 3.478 0.000
In 0.000 0.000 3.478
In 0.000 3.478 0.000
In 3.478 0.000 0.000
In 3.478 3.478 3.478
Ag 1.739 1.739 1.739
Ag 1.739 1.739 5.217
Ag 1.739 5.217 1.739
Ag 1.739 5.217 5.217
Ag 5.217 1.739 1.739
Ag 5.217 1.739 5.217
Ag 5.217 5.217 1.739
Ag 5.217 5.217 5.217
```

The space group is Fm-3m, No. 225. The uncorrected energy comes out at -98.2 eV per formula unit. The formation energy is -1.70 eV per formula unit.



No. 2
A relaxed Sm2Cu2O5 crystal, computed with meta-GGA r2SCAN.

```
36
Lattice="10.959 0.000 0.000 0.000 3.625 0.000 0.000 0.000 12.650" Properties=species:S:1:pos:R:3 pbc="T T T"
Sm 0.485 0.787 0.000
Sm 2.265 0.770 8.510
Sm 3.215 2.582 2.185
Sm 4.994 2.600 6.325
Sm 5.965 1.026 0.000
Sm 7.745 1.043 8.510
Sm 8.694 2.856 2.185
Sm 10.474 2.838 6.325
Cu 0.128 1.227 3.602
Cu 2.593 0.571 4.885
Cu 2.887 2.383 11.211
Cu 5.352 3.040 9.927
Cu 5.607 0.585 3.602
Cu 8.072 1.242 4.885
Cu 8.366 3.054 11.211
Cu 10.831 2.398 9.927
O 0.801 2.612 8.200
O 0.808 1.004 5.464
O 1.372 1.346 10.579
O 1.909 0.774 3.017
O 1.953 2.626 0.288
O 3.527 0.813 6.613
O 3.570 2.587 9.342
O 4.108 3.159 4.254
O 4.672 2.817 11.789
O 4.679 0.799 1.875
O 6.281 2.826 8.200
O 6.288 0.808 5.464
O 6.852 0.466 10.579
O 7.389 1.038 3.017
O 7.432 2.812 0.288
O 9.007 0.999 6.613
O 9.050 2.851 9.342
O 9.587 2.279 4.254
O 10.151 2.621 11.789
O 10.158 1.013 1.875
```

The space group is Pna2_1, No. 33. The uncorrected energy comes out at -132.6 eV per formula unit. The formation energy is -21.61 eV per formula unit.



No. 3
A relaxed MgPb2 crystal, computed with meta-GGA r2SCAN.

```
12
Lattice="6.551 0.000 0.000 0.000 5.001 0.000 0.000 0.000 10.173" Properties=species:S:1:pos:R:3 pbc="T T T"
Mg 0.984 1.250 0.972
Mg 2.291 3.751 6.059
Mg 4.260 1.250 4.115
Mg 5.567 3.751 9.201
Pb 0.616 1.250 7.869
Pb 1.039 1.250 4.402
Pb 2.237 3.751 9.488
Pb 2.659 3.751 2.782
Pb 3.892 1.250 7.391
Pb 4.314 1.250 0.685
Pb 5.512 3.751 5.772
Pb 5.935 3.751 2.304
```

The space group is Pnma, No. 62. The uncorrected energy comes out at -116.8 eV per formula unit. The formation energy is -0.03 eV per formula unit.



No. 4
A relaxed Ca11AlSb9 crystal, computed with meta-GGA r2SCAN.

```
42
Lattice="-5.919 6.276 8.409 5.919 -6.276 8.409 5.919 6.276 -8.409" Properties=species:S:1:pos:R:3 pbc="T T T"
Ca 1.903 2.195 -2.152
Ca 8.087 0.711 0.000
Ca 8.083 -0.661 4.105
Ca 0.000 0.000 3.254
Ca 7.822 4.081 -2.152
Ca 4.818 2.836 0.532
Ca 3.755 0.661 4.105
Ca 4.818 -2.836 8.941
Ca 6.788 2.809 3.571
Ca 2.168 5.565 0.000
Ca 0.869 3.467 3.571
Ca -1.903 2.195 6.257
Ca 3.751 0.711 8.409
Ca -2.164 5.615 4.105
Ca 0.000 0.000 11.663
Ca 4.016 4.081 6.257
Ca 1.101 9.111 0.532
Ca 2.164 6.937 4.105
Ca 1.101 3.440 8.941
Ca -0.869 9.085 3.571
Ca -2.168 5.565 8.409
Ca -0.869 3.467 11.980
Al 0.000 0.000 7.971
Al 0.000 0.000 16.380
Sb 8.000 4.038 -5.198
Sb 5.919 0.000 2.033
Sb 1.677 1.691 0.978
Sb 4.372 4.842 -2.190
Sb 5.503 -1.371 6.298
Sb -2.081 2.238 3.211
Sb 1.677 -1.691 9.387
Sb 1.547 1.434 6.219
Sb 6.335 1.371 6.298
Sb 3.838 4.038 3.211
Sb 0.000 6.276 2.033
Sb 4.241 7.967 0.978
Sb -4.372 4.842 6.219
Sb 0.416 4.904 6.298
Sb 2.081 2.238 11.620
Sb 4.241 4.584 9.387
Sb -0.416 7.647 6.298
Sb 4.372 7.710 6.219
```

The space group is Iba2, No. 45. The uncorrected energy comes out at -339.7 eV per formula unit. The formation energy is -24.20 eV per formula unit.



No. 5
A relaxed Ba2BrN crystal, computed with meta-GGA r2SCAN.

```
12
Lattice="4.168 0.000 0.000 -2.084 3.609 0.000 0.000 0.000 23.816" Properties=species:S:1:pos:R:3 pbc="T T T"
Ba 0.000 0.000 5.446
Ba 0.000 0.000 18.370
Ba 0.000 2.406 10.431
Ba 0.000 2.406 21.323
Ba 2.084 1.203 2.493
Ba 2.084 1.203 13.384
Br 0.000 0.000 0.000
Br 0.000 2.406 15.877
Br 2.084 1.203 7.939
N 0.000 0.000 11.908
N 0.000 2.406 3.969
N 2.084 1.203 19.846
```

The space group is R-3m, No. 166. The uncorrected energy comes out at -80.9 eV per formula unit. The formation energy is -5.54 eV per formula unit.



No. 6
A relaxed He crystal, computed with meta-GGA r2SCAN.

```
4
Lattice="3.984 0.000 0.000 0.000 3.984 0.000 0.000 0.000 3.984" Properties=species:S:1:pos:R:3 pbc="T T T"
He 0.000 0.000 0.000
He 0.000 1.992 1.992
He 1.992 0.000 1.992
He 1.992 1.992 0.000
```

The space group is Fm-3m, No. 225. The uncorrected energy comes out at -0.3 eV per formula unit. The formation energy is 0.00 eV per formula unit.



No. 7
A relaxed ThCu2P2 crystal, computed with meta-GGA r2SCAN.

```
5
Lattice="4.010 0.000 0.000 -2.005 3.473 0.000 0.000 0.000 6.483" Properties=species:S:1:pos:R:3 pbc="T T T"
Th 0.000 0.000 0.000
Cu 0.000 2.315 4.125
Cu 2.005 1.158 2.358
P 0.000 2.315 1.743
P 2.005 1.158 4.740
```

The space group is P-3m1, No. 164. The uncorrected energy comes out at -117.5 eV per formula unit. The formation energy is -4.32 eV per formula unit.



No. 8
A relaxed CeRh2 crystal, computed with meta-GGA r2SCAN.

```
6
Lattice="0.000 3.784 3.784 3.784 0.000 3.784 3.784 3.784 0.000" Properties=species:S:1:pos:R:3 pbc="T T T"
Ce 0.946 0.946 0.946
Ce 6.623 6.623 6.623
Rh 3.784 1.892 1.892
Rh 1.892 3.784 1.892
Rh 1.892 1.892 3.784
Rh 3.784 3.784 3.784
```

The space group is Fd-3m, No. 227. The uncorrected energy comes out at -81.4 eV per formula unit. The formation energy is -2.29 eV per formula unit.



> Among the records above, which one has the highest uncorrected energy?

He